Record 1
Mn3CoSn2P6O24 | GGA+U | optimized geometry

Cell: 8.5853 8.5853 8.5853 Å, 61.49 61.49 61.49°
Closest atoms and distances in Å follow each position.
Fractional coordinates of all 36 atoms:
1 Mn 0.3484 0.3484 0.3484  3 O 2.04
2 Mn 0.1506 0.1506 0.1506  6 O 2.01-2.21
3 Mn 0.6498 0.6498 0.6498  6 O 2.01-2.20
4 Co 0.8490 0.8490 0.8490  3 O 1.91
5 Sn 0.9992 0.9992 0.9992  6 O 2.14-2.16
6 Sn 0.5002 0.5002 0.5002  6 O 2.12
7 P 0.4529 0.7516 0.0484  4 O 1.51-1.59
8 P 0.7516 0.0484 0.4529  4 O 1.51-1.59
9 P 0.0484 0.4529 0.7516  4 O 1.51-1.59
10 P 0.9462 0.5534 0.2488  4 O 1.50-1.60
11 P 0.2488 0.9462 0.5534  4 O 1.50-1.60
12 P 0.5534 0.2488 0.9462  4 O 1.50-1.60
13 O 0.6761 0.9043 0.4874  1 P 1.51
14 O 0.9043 0.4874 0.6761  1 P 1.51
15 O 0.4874 0.6761 0.9043  1 P 1.51
16 O 0.2494 0.9042 0.0656  1 P 1.59
17 O 0.6050 0.8270 0.0017  1 P 1.53
18 O 0.4395 0.6016 0.2504  1 P 1.58
19 O 0.9042 0.0656 0.2494  1 P 1.59
20 O 0.6016 0.2504 0.4395  1 P 1.58
21 O 0.9822 0.4031 0.1801  1 P 1.51
22 O 0.2504 0.4395 0.6016  1 P 1.58
23 O 0.9278 0.7549 0.0908  1 P 1.60
24 O 0.1801 0.9822 0.4031  1 P 1.51
25 O 0.8270 0.0017 0.6050  1 P 1.53
26 O 0.0656 0.2494 0.9042  1 P 1.59
27 O 0.7434 0.5723 0.4011  1 P 1.59
28 O 0.0017 0.6050 0.8270  1 P 1.53
29 O 0.4011 0.7434 0.5723  1 P 1.59
30 O 0.0908 0.9278 0.7549  1 P 1.60
31 O 0.5723 0.4011 0.7434  1 P 1.59
32 O 0.4031 0.1801 0.9822  1 P 1.51
33 O 0.7549 0.0908 0.9278  1 P 1.60
34 O 0.5221 0.3194 0.0921  1 P 1.50
35 O 0.0921 0.5221 0.3194  1 P 1.50
36 O 0.3194 0.0921 0.5221  1 P 1.50

Space-group type ... No. 146
ΔE_f ... -83.9 eV/f.u.


Record 2
Ti3MnCo2P6O24 | GGA+U | optimized geometry

Cell: 8.5673 8.5673 8.5673 Å, 60.84 60.84 60.84°
Closest atoms and distances in Å follow each position.
Fractional coordinates of all 36 atoms:
1 Ti 0.1437 0.1437 0.1437  6 O 1.90-2.07
2 Ti 0.3541 0.3541 0.3541  6 O 1.87-2.02
3 Ti 0.6471 0.6471 0.6471  3 O 1.88
4 Mn 0.8554 0.8554 0.8554  6 O 2.05-2.23
5 Co 0.9962 0.9962 0.9962  6 O 2.13-2.20
6 Co 0.4991 0.4991 0.4991  6 O 2.19-2.24
7 P 0.0495 0.7526 0.4499  4 O 1.49-1.57
8 P 0.4499 0.0495 0.7526  4 O 1.49-1.57
9 P 0.2554 0.5417 0.9546  4 O 1.52-1.56
10 P 0.5417 0.9546 0.2554  4 O 1.52-1.56
11 P 0.9546 0.2554 0.5417  4 O 1.52-1.56
12 P 0.7526 0.4499 0.0495  4 O 1.49-1.57
13 O 0.1108 0.3358 0.4793  1 P 1.55
14 O 0.3358 0.4793 0.1108  1 P 1.55
15 O 0.0595 0.9110 0.2521  1 P 1.57
16 O 0.4793 0.1108 0.3358  1 P 1.55
17 O 0.0225 0.8160 0.5980  1 P 1.49
18 O 0.2432 0.5878 0.4269  1 P 1.57
19 O 0.2521 0.0595 0.9110  1 P 1.57
20 O 0.4269 0.2432 0.5878  1 P 1.57
21 O 0.1868 0.3804 0.0023  1 P 1.56
22 O 0.5878 0.4269 0.2432  1 P 1.57
23 O 0.1026 0.7340 0.9519  1 P 1.52
24 O 0.3804 0.0023 0.1868  1 P 1.56
25 O 0.5980 0.0225 0.8160  1 P 1.49
26 O 0.9110 0.2521 0.0595  1 P 1.57
27 O 0.4166 0.5507 0.7592  1 P 1.56
28 O 0.8160 0.5980 0.0225  1 P 1.49
29 O 0.5507 0.7592 0.4166  1 P 1.56
30 O 0.7340 0.9519 0.1026  1 P 1.52
31 O 0.7592 0.4166 0.5507  1 P 1.56
32 O 0.0023 0.1868 0.3804  1 P 1.56
33 O 0.5032 0.8810 0.6888  1 P 1.57
34 O 0.9519 0.1026 0.7340  1 P 1.52
35 O 0.6888 0.5032 0.8810  1 P 1.57
36 O 0.8810 0.6888 0.5032  1 P 1.57

Space-group type ... No. 146
ΔE_f ... -97.8 eV/f.u.


Record 3
Mn2V3CoP6O24 | GGA+U | optimized geometry

Cell: 8.5839 8.5839 8.5839 Å, 60.12 60.12 60.12°
Closest atoms and distances in Å follow each position.
Fractional coordinates of all 36 atoms:
1 Mn 0.9973 0.9973 0.9973  6 O 2.20-2.30
2 Mn 0.4996 0.4996 0.4996  6 O 2.25-2.26
3 V 0.3555 0.3555 0.3555  6 O 1.89-2.01
4 V 0.1436 0.1436 0.1436  6 O 1.90-2.00
5 V 0.6439 0.6439 0.6439  6 O 1.93-2.05
6 Co 0.8541 0.8541 0.8541  6 O 1.93-2.09
7 P 0.7512 0.0428 0.4584  4 O 1.51-1.57
8 P 0.0428 0.4584 0.7512  4 O 1.51-1.57
9 P 0.4584 0.7512 0.0428  4 O 1.51-1.57
10 P 0.5419 0.2481 0.9596  4 O 1.53-1.56
11 P 0.9596 0.5419 0.2481  4 O 1.53-1.56
12 P 0.2481 0.9596 0.5419  4 O 1.53-1.56
13 O 0.8803 0.4910 0.6978  1 P 1.53
14 O 0.4910 0.6978 0.8803  1 P 1.53
15 O 0.6978 0.8803 0.4910  1 P 1.53
16 O 0.9151 0.0641 0.2619  1 P 1.56
17 O 0.8045 0.0143 0.6167  1 P 1.51
18 O 0.5839 0.2373 0.4360  1 P 1.57
19 O 0.0641 0.2619 0.9151  1 P 1.56
20 O 0.2373 0.4360 0.5839  1 P 1.57
21 O 0.3800 0.1893 0.9988  1 P 1.54
22 O 0.4360 0.5839 0.2373  1 P 1.57
23 O 0.7327 0.0854 0.9482  1 P 1.53
24 O 0.9988 0.3800 0.1893  1 P 1.54
25 O 0.0143 0.6167 0.8045  1 P 1.51
26 O 0.2619 0.9151 0.0641  1 P 1.56
27 O 0.5538 0.4153 0.7662  1 P 1.56
28 O 0.6167 0.8045 0.0143  1 P 1.51
29 O 0.7662 0.5538 0.4153  1 P 1.56
30 O 0.9482 0.7327 0.0854  1 P 1.53
31 O 0.4153 0.7662 0.5538  1 P 1.56
32 O 0.1893 0.9988 0.3800  1 P 1.54
33 O 0.0854 0.9482 0.7327  1 P 1.53
34 O 0.3129 0.1190 0.4994  1 P 1.54
35 O 0.4994 0.3129 0.1190  1 P 1.54
36 O 0.1190 0.4994 0.3129  1 P 1.54

Space-group type ... No. 146
ΔE_f ... -90.8 eV/f.u.


Record 4
Mn3Co3Sb2O16 | GGA+U | optimized geometry

Cell: 5.8308 5.8440 9.2751 Å, 90.53 89.89 119.55°
Closest atoms and distances in Å follow each position.
Fractional coordinates of all 24 atoms:
1 Mn 0.3372 0.1713 0.2125  6 O 1.92-1.97
2 Mn 0.1700 0.3375 0.7141  6 O 1.91-1.98
3 Mn 0.1709 0.8321 0.7134  6 O 1.90-1.99
4 Co 0.8332 0.1762 0.2155  6 O 1.85-1.99
5 Co 0.8290 0.6696 0.2069  6 O 1.94-2.10
6 Co 0.6672 0.8339 0.7093  6 O 1.97-2.07
7 Sb 0.6719 0.3340 0.4897  6 O 1.98-2.08
8 Sb 0.3371 0.6714 0.9920  6 O 1.98-2.11
9 O 0.8380 0.1666 0.6015  1 Co 1.97, 1 Mn 1.98, 1 Sb 1.98
10 O 0.9639 0.4666 0.3363  1 Co 1.85, 1 Sb 2.06
11 O 0.6630 0.3163 0.1087  2 Co 1.86-2.01, 1 Mn 1.92
12 O 0.0004 0.0169 0.3071  2 Co 1.86-1.99, 1 Mn 1.92
13 O 0.0118 0.0071 0.8106  2 Mn 1.91, 1 Co 1.98
14 O 0.8404 0.6711 0.5980  1 Sb 1.98, 1 Co 1.98, 1 Mn 1.99
15 O 0.5215 0.0371 0.3336  1 Co 1.93, 1 Mn 1.97, 1 Sb 2.08
16 O 0.5137 0.4719 0.3403  1 Mn 1.93, 1 Co 2.04, 1 Sb 2.04
17 O 0.6758 0.8450 0.0994  2 Co 1.94-1.99, 1 Sb 1.98
18 O 0.3305 0.1622 0.6015  2 Mn 1.98, 1 Sb 2.02
19 O 0.4711 0.5098 0.8409  1 Mn 1.93, 1 Sb 2.04, 1 Co 2.07
20 O 0.4696 0.9604 0.8396  1 Mn 1.92, 1 Co 2.04, 1 Sb 2.05
21 O 0.3166 0.6556 0.6065  2 Mn 1.90-1.91, 1 Co 2.02
22 O 0.1642 0.3294 0.1008  1 Mn 1.97, 1 Co 1.99, 1 Sb 2.02
23 O 0.0358 0.5200 0.8354  2 Mn 1.95-1.96, 1 Sb 2.11
24 O 0.1669 0.8380 0.1021  1 Mn 1.97, 1 Co 1.97, 1 Sb 1.98

Space-group type ... No. 1
ΔE_f ... -37.4 eV/f.u.


Record 5
Sm2MnCoO6 | GGA+U | optimized geometry

Cell: 5.3880 5.6473 7.7069 Å, 90.00 90.09 90.00°
Closest atoms and distances in Å follow each position.
Fractional coordinates of all 20 atoms:
1 Sm 0.5164 0.5652 0.2495  6 O 2.33-2.55
2 Sm 0.0164 0.9348 0.7495  6 O 2.33-2.55
3 Sm 0.4836 0.4348 0.7505  6 O 2.33-2.55
4 Sm 0.9836 0.0652 0.2505  6 O 2.33-2.55
5 Mn 0.5000 0.0000 0.5000  6 O 1.95-1.96
6 Mn 0.0000 0.5000 0.0000  6 O 1.95-1.96
7 Co 0.0000 0.5000 0.5000  6 O 2.05-2.09
8 Co 0.5000 0.0000 0.0000  6 O 2.05-2.09
9 O 0.4043 0.9728 0.2569  1 Mn 1.95, 1 Co 2.05
10 O 0.9043 0.5272 0.7569  1 Mn 1.95, 1 Co 2.05
11 O 0.5957 0.0272 0.7431  1 Mn 1.95, 1 Co 2.05
12 O 0.0957 0.4728 0.2431  1 Mn 1.95, 1 Co 2.05
13 O 0.8103 0.7888 0.0509  1 Mn 1.96, 1 Co 2.09
14 O 0.3103 0.7112 0.5509  1 Mn 1.96, 1 Co 2.09
15 O 0.1897 0.2112 0.9491  1 Mn 1.96, 1 Co 2.09
16 O 0.6897 0.2888 0.4491  1 Mn 1.96, 1 Co 2.09
17 O 0.7921 0.8063 0.4520  1 Mn 1.95, 1 Co 2.09
18 O 0.2921 0.6937 0.9520  1 Mn 1.95, 1 Co 2.09
19 O 0.2079 0.1937 0.5480  1 Mn 1.95, 1 Co 2.09
20 O 0.7079 0.3063 0.0480  1 Mn 1.95, 1 Co 2.09

Space-group type ... No. 14
ΔE_f ... -27.4 eV/f.u.


Record 6
Sr9Mn5Co2O21 | GGA+U | optimized geometry

Cell: 9.7061 9.7061 13.4052 Å, 68.78 68.78 60.00°
Closest atoms and distances in Å follow each position.
Fractional coordinates of all 74 atoms:
1 Sr 0.9197 0.5803 0.2500  6 O 2.54-2.78
2 Sr 0.5803 0.2500 0.2500  6 O 2.54-2.78
3 Sr 0.2500 0.9197 0.2500  6 O 2.54-2.78
4 Sr 0.4197 0.7500 0.7500  6 O 2.54-2.78
5 Sr 0.7500 0.0803 0.7500  6 O 2.54-2.78
6 Sr 0.0803 0.4197 0.7500  6 O 2.54-2.78
7 Sr 0.9943 0.2853 0.0840  4 O 2.40-2.67
8 Sr 0.2853 0.6364 0.0840  4 O 2.40-2.67
9 Sr 0.6364 0.9943 0.0840  4 O 2.40-2.67
10 Sr 0.4943 0.1364 0.5840  4 O 2.40-2.67
11 Sr 0.1364 0.7853 0.5840  4 O 2.40-2.67
12 Sr 0.7853 0.4943 0.5840  4 O 2.40-2.67
13 Sr 0.0057 0.7147 0.9160  4 O 2.40-2.67
14 Sr 0.7147 0.3636 0.9160  4 O 2.40-2.67
15 Sr 0.3636 0.0057 0.9160  4 O 2.40-2.67
16 Sr 0.5057 0.8636 0.4160  4 O 2.40-2.67
17 Sr 0.8636 0.2147 0.4160  4 O 2.40-2.67
18 Sr 0.2147 0.5057 0.4160  4 O 2.40-2.67
19 Mn 0.7144 0.7144 0.8569  6 O 1.91-1.98
20 Mn 0.2144 0.2144 0.3569  6 O 1.91-1.98
21 Mn 0.2856 0.2856 0.1431  6 O 1.91-1.98
22 Mn 0.7856 0.7856 0.6431  6 O 1.91-1.98
23 Mn 0.5707 0.5707 0.2880  6 O 1.86-2.04
24 Mn 0.0707 0.0707 0.7880  6 O 1.86-2.04
25 Mn 0.4293 0.4293 0.7120  6 O 1.86-2.04
26 Mn 0.9293 0.9293 0.2120  6 O 1.86-2.04
27 Mn 0.5000 0.5000 0.5000  6 O 1.93
28 Mn 0.0000 0.0000 0.0000  6 O 1.93
29 Co 0.8579 0.8579 0.4262  6 O 2.17-2.20
30 Co 0.3579 0.3579 0.9262  6 O 2.17-2.20
31 Co 0.1421 0.1421 0.5738  6 O 2.17-2.20
32 Co 0.6421 0.6421 0.0738  6 O 2.17-2.20
33 O 0.7487 0.4367 0.2005  1 Mn 1.86
34 O 0.4367 0.6141 0.2005  1 Mn 1.86
35 O 0.6141 0.7487 0.2005  1 Mn 1.86
36 O 0.2487 0.1141 0.7005  1 Mn 1.86
37 O 0.1141 0.9367 0.7005  1 Mn 1.86
38 O 0.9367 0.2487 0.7005  1 Mn 1.86
39 O 0.2513 0.5633 0.7995  1 Mn 1.86
40 O 0.5633 0.3859 0.7995  1 Mn 1.86
41 O 0.3859 0.2513 0.7995  1 Mn 1.86
42 O 0.7513 0.8859 0.2995  1 Mn 1.86
43 O 0.8859 0.0633 0.2995  1 Mn 1.86
44 O 0.0633 0.7513 0.2995  1 Mn 1.86
45 O 0.4035 0.0965 0.2500  2 Mn 1.98
46 O 0.0965 0.2500 0.2500  2 Mn 1.98
47 O 0.2500 0.4035 0.2500  2 Mn 1.98
48 O 0.9035 0.7500 0.7500  2 Mn 1.98
49 O 0.7500 0.5965 0.7500  2 Mn 1.98
50 O 0.5965 0.9035 0.7500  2 Mn 1.98
51 O 0.9712 0.6494 0.5531  1 Mn 1.91
52 O 0.6494 0.8263 0.5531  1 Mn 1.91
53 O 0.8263 0.9712 0.5531  1 Mn 1.91
54 O 0.4712 0.3263 0.0531  1 Mn 1.91
55 O 0.3263 0.1494 0.0531  1 Mn 1.91
56 O 0.1494 0.4712 0.0531  1 Mn 1.91
57 O 0.0288 0.3506 0.4469  1 Mn 1.91
58 O 0.3506 0.1737 0.4469  1 Mn 1.91
59 O 0.1737 0.0288 0.4469  1 Mn 1.91
60 O 0.5288 0.6737 0.9469  1 Mn 1.91
61 O 0.6737 0.8506 0.9469  1 Mn 1.91
62 O 0.8506 0.5288 0.9469  1 Mn 1.91
63 O 0.5352 0.3768 0.4011  2 Mn 1.93-2.04
64 O 0.3768 0.6870 0.4011  2 Mn 1.93-2.04
65 O 0.6870 0.5352 0.4011  2 Mn 1.93-2.04
66 O 0.0352 0.1870 0.9011  2 Mn 1.93-2.04
67 O 0.1870 0.8768 0.9011  2 Mn 1.93-2.04
68 O 0.8768 0.0352 0.9011  2 Mn 1.93-2.04
69 O 0.4648 0.6232 0.5989  2 Mn 1.93-2.04
70 O 0.6232 0.3130 0.5989  2 Mn 1.93-2.04
71 O 0.3130 0.4648 0.5989  2 Mn 1.93-2.04
72 O 0.9648 0.8130 0.0989  2 Mn 1.93-2.04
73 O 0.8130 0.1232 0.0989  2 Mn 1.93-2.04
74 O 0.1232 0.9648 0.0989  2 Mn 1.93-2.04

Space-group type ... No. 167
ΔE_f ... -93.7 eV/f.u.


no.,magnetization (μB/atom)
1,0.500
2,0.306
3,0.484
4,0.417
5,0.400
6,0.568